Record 1
First-principles (r2SCAN) data for a relaxed structure of TmSbO4, as listed in the Materials Project.

Energy of formation from the pure elements in kJ/mol of formula units: -1569
Energy in eV per cell: -403.9
Total magnetic moment in μB per cell: 0.0

Unit cell a=5.2765 b=7.5259 c=7.4126 alpha=81.48 beta=90.32 gamma=91.78
Atoms (fractional coordinates):
O 0.5994 0.5696 0.8071
O 0.1223 0.6700 0.9371
O 0.5332 0.8149 0.1186
O 0.6051 0.3265 0.5619
O 0.0896 0.4326 0.6885
O 0.4006 0.4304 0.1929
O 0.0023 0.8292 0.6154
O 0.9615 0.1118 0.8256
O 0.3949 0.6735 0.4381
O 0.9104 0.5674 0.3115
O 0.4888 0.8905 0.6772
O 0.0385 0.8882 0.1744
O 0.9977 0.1708 0.3846
O 0.5112 0.1095 0.3228
O 0.8777 0.3300 0.0629
O 0.4668 0.1851 0.8814
Tm 0.2643 0.1333 0.6155
Tm 0.7844 0.8454 0.8886
Tm 0.2156 0.1546 0.1114
Tm 0.7357 0.8667 0.3845
Sb 0.7621 0.3357 0.8067
Sb 0.7254 0.3358 0.3094
Sb 0.2379 0.6643 0.1933
Sb 0.2746 0.6642 0.6906

---

Record 2
First-principles (r2SCAN) data for a relaxed structure of Tm3SbO7, as listed in the Materials Project.

Energy of formation from the pure elements in kJ/mol of formula units: -3548
Energy in eV per cell: -419.3
Total magnetic moment in μB per cell: 0.0

Unit cell a=6.3329 b=6.3329 c=7.3450 alpha=90.00 beta=90.00 gamma=109.26
Atoms (fractional coordinates):
O 0.0723 0.9277 0.2500
O 0.9321 0.6783 0.9667
O 0.3620 0.6380 0.2500
O 0.6739 0.9228 0.4707
O 0.9277 0.0723 0.7500
O 0.6301 0.3699 0.2500
O 0.0679 0.3217 0.4667
O 0.3699 0.6301 0.7500
O 0.3261 0.0772 0.9707
O 0.6380 0.3620 0.7500
O 0.6783 0.9321 0.0333
O 0.0772 0.3261 0.0293
O 0.9228 0.6739 0.5293
O 0.3217 0.0679 0.5333
Tm 0.5320 0.0006 0.7522
Tm 0.4680 0.9994 0.2522
Tm 0.0006 0.5320 0.2478
Tm 0.4903 0.4903 0.0000
Tm 0.5097 0.5097 0.5000
Tm 0.9994 0.4680 0.7478
Sb 0.9997 0.9997 0.5000
Sb 0.0003 0.0003 0.0000

---

Record 3
First-principles (r2SCAN) data for a relaxed structure of TmSbO4, as listed in the Materials Project.

Energy of formation from the pure elements in kJ/mol of formula units: -1569
Energy in eV per cell: -403.9
Total magnetic moment in μB per cell: 0.0

Unit cell a=5.2696 b=7.4132 c=7.5283 alpha=81.55 beta=90.00 gamma=90.00
Atoms (fractional coordinates):
Tm 0.2741 0.3863 0.8558
Tm 0.7259 0.6137 0.1442
Tm 0.2259 0.8863 0.8558
Tm 0.7741 0.1137 0.1442
O 0.8867 0.9374 0.6716
O 0.0244 0.8245 0.1109
O 0.0951 0.3095 0.5689
O 0.4849 0.1164 0.8219
O 0.5951 0.1905 0.4311
O 0.4756 0.3245 0.1109
O 0.9849 0.3836 0.1781
O 0.6133 0.4374 0.6716
O 0.5151 0.8836 0.1781
O 0.1133 0.0626 0.3284
O 0.4049 0.8095 0.5689
O 0.3867 0.5626 0.3284
O 0.5244 0.6755 0.8891
O 0.9049 0.6905 0.4311
O 0.0151 0.6164 0.8219
O 0.9756 0.1755 0.8891
Sb 0.2314 0.8082 0.3360
Sb 0.2686 0.3082 0.3360
Sb 0.7314 0.6918 0.6640
Sb 0.7686 0.1918 0.6640

---

Record 4
First-principles (r2SCAN) data for a relaxed structure of Tm3Sb5O12, as listed in the Materials Project.

Energy of formation from the pure elements in kJ/mol of formula units: -4796
Energy in eV per cell: -710.5
Total magnetic moment in μB per cell: 0.0

Unit cell a=9.2236 b=9.2234 c=9.2235 alpha=109.47 beta=109.47 gamma=109.47
Atoms (fractional coordinates):
Sb 0.2819 0.2818 0.0000
Sb 0.7182 0.7182 0.0000
Sb 0.0000 0.0000 0.5195
Sb 0.4806 0.4805 0.4805
Sb 0.0000 0.2818 0.2818
Sb 0.5195 0.0000 0.0000
Sb 0.0000 0.7182 0.7182
Sb 0.7182 0.0000 0.7182
Sb 0.2818 0.0000 0.2819
Sb 0.0000 0.5195 0.0000
O 0.4998 0.4998 0.2027
O 0.4803 0.0000 0.2016
O 0.0000 0.2016 0.4803
O 0.7029 0.0000 0.5002
O 0.2016 0.0000 0.4803
O 0.5002 0.0000 0.7029
O 0.0000 0.5002 0.7029
O 0.5197 0.5197 0.7213
O 0.2016 0.4803 0.0000
O 0.4998 0.2027 0.4998
O 0.0000 0.4803 0.2016
O 0.7029 0.5002 0.0000
O 0.5197 0.7213 0.5197
O 0.0000 0.7029 0.5002
O 0.7213 0.5197 0.5197
O 0.4803 0.2016 0.0000
O 0.2971 0.7973 0.2971
O 0.2971 0.2971 0.7973
O 0.7973 0.2971 0.2971
O 0.2787 0.7984 0.7984
O 0.5002 0.7029 0.0000
O 0.7984 0.7984 0.2787
O 0.2027 0.4998 0.4998
O 0.7984 0.2787 0.7984
Tm 0.2500 0.7500 0.5000
Tm 0.2500 0.5000 0.7501
Tm 0.7500 0.2500 0.5000
Tm 0.5000 0.7500 0.2500
Tm 0.7500 0.5000 0.2499
Tm 0.5000 0.2500 0.7500

---

Record 5
First-principles (r2SCAN) data for a relaxed structure of Y3Sb5O12, as listed in the Materials Project.

Energy of formation from the pure elements in kJ/mol of formula units: -4733
Energy in eV per cell: -620.4
Total magnetic moment in μB per cell: 0.0

Unit cell a=9.3218 b=9.3219 c=9.3220 alpha=109.47 beta=109.47 gamma=109.47
Atoms (fractional coordinates):
O 0.8001 0.5224 0.0000
O 0.1999 0.1999 0.7223
O 0.5224 0.0000 0.8001
O 0.4776 0.2777 0.4776
O 0.5036 0.5036 0.7993
O 0.4776 0.4776 0.2777
O 0.2958 0.4964 0.0000
O 0.7042 0.2007 0.7042
O 0.2007 0.7042 0.7042
O 0.5224 0.8001 0.0000
O 0.4965 0.2958 0.0000
O 0.2777 0.4776 0.4776
O 0.2958 0.0000 0.4964
O 0.0000 0.4965 0.2958
O 0.7042 0.7042 0.2007
O 0.5036 0.7993 0.5035
O 0.0000 0.8001 0.5224
O 0.0000 0.5224 0.8001
O 0.7993 0.5035 0.5035
O 0.4964 0.0000 0.2958
O 0.0000 0.2958 0.4965
O 0.8001 0.0000 0.5224
O 0.1999 0.7223 0.1999
O 0.7223 0.1999 0.1999
Sb 0.2812 0.2812 0.0000
Sb 0.0000 0.0000 0.4843
Sb 0.5157 0.5157 0.5157
Sb 0.0000 0.7187 0.7187
Sb 0.4843 0.0000 0.0000
Sb 0.0000 0.4843 0.0000
Sb 0.7188 0.7187 0.0000
Sb 0.7187 0.0000 0.7187
Sb 0.0000 0.2812 0.2813
Sb 0.2813 0.0000 0.2813
Y 0.2500 0.7500 0.5000
Y 0.5000 0.2500 0.7500
Y 0.5000 0.7500 0.2500
Y 0.2500 0.5000 0.7500
Y 0.7500 0.5000 0.2500
Y 0.7500 0.2500 0.5000

---

Record 6
First-principles (r2SCAN) data for a relaxed structure of Y3SbO7, as listed in the Materials Project.

Energy of formation from the pure elements in kJ/mol of formula units: -3487
Energy in eV per cell: -329.2
Total magnetic moment in μB per cell: 0.0

Unit cell a=6.4273 b=6.4273 c=7.4575 alpha=90.00 beta=90.00 gamma=109.49
Atoms (fractional coordinates):
Y 0.5000 0.5000 0.0000
Y 0.4688 0.9999 0.2500
Y 0.0001 0.5312 0.2500
Y 0.9999 0.4688 0.7500
Y 0.5000 0.5000 0.5000
Y 0.5312 0.0001 0.7500
O 0.3626 0.6374 0.2500
O 0.3206 0.0717 0.5300
O 0.9283 0.6794 0.5300
O 0.0717 0.3206 0.4700
O 0.6794 0.9283 0.0300
O 0.0680 0.9320 0.2500
O 0.3700 0.6300 0.7500
O 0.6374 0.3626 0.7500
O 0.6794 0.9283 0.4700
O 0.9320 0.0680 0.7500
O 0.0717 0.3206 0.0300
O 0.3206 0.0717 0.9700
O 0.9283 0.6794 0.9700
O 0.6300 0.3700 0.2500
Sb 0.0000 0.0000 0.0000
Sb 0.0000 0.0000 0.5000

---

Record 7
First-principles (r2SCAN) data for a relaxed structure of ScO, as listed in the Materials Project.

Energy of formation from the pure elements in kJ/mol of formula units: -600
Energy in eV per cell: -23.6
Total magnetic moment in μB per cell: 0.0

Unit cell a=3.1514 b=3.1514 c=3.1514 alpha=60.00 beta=60.00 gamma=60.00
Atoms (fractional coordinates):
O 0.5000 0.5000 0.5000
Sc 0.0000 0.0000 0.0000

---

Record 8
First-principles (r2SCAN) data for a relaxed structure of Sc2Se3O9, as listed in the Materials Project.

Energy of formation from the pure elements in kJ/mol of formula units: -2629
Energy in eV per cell: -293.5
Total magnetic moment in μB per cell: 0.0

Unit cell a=8.1494 b=8.1494 c=7.6761 alpha=90.01 beta=90.00 gamma=120.00
Atoms (fractional coordinates):
Se 0.7012 0.9680 0.7500
Se 0.9680 0.2668 0.2500
Se 0.2668 0.2988 0.7500
Se 0.7332 0.7012 0.2500
Se 0.0320 0.7332 0.7500
Se 0.2988 0.0320 0.2500
O 0.1699 0.7539 0.9219
O 0.6180 0.1262 0.7500
O 0.1700 0.7539 0.5782
O 0.8738 0.4918 0.7500
O 0.8301 0.2460 0.0781
O 0.7539 0.5839 0.0782
O 0.4918 0.6180 0.2500
O 0.2461 0.4160 0.5781
O 0.4160 0.1700 0.4219
O 0.2460 0.4160 0.9218
O 0.4160 0.1700 0.0781
O 0.8300 0.2461 0.4218
O 0.5082 0.3820 0.7500
O 0.3820 0.8738 0.2500
O 0.5840 0.8301 0.9218
O 0.1262 0.5082 0.2500
O 0.5840 0.8300 0.5781
O 0.7539 0.5840 0.4219
Sc 0.3334 0.6667 0.0448
Sc 0.6666 0.3333 0.9551
Sc 0.6667 0.3333 0.5449
Sc 0.3333 0.6667 0.4552

---

Record 9
First-principles (r2SCAN) data for a relaxed structure of Sc2Si2O7, as listed in the Materials Project.

Energy of formation from the pure elements in kJ/mol of formula units: -3662
Energy in eV per cell: -120.1
Total magnetic moment in μB per cell: 0.0

Unit cell a=4.6915 b=5.3625 c=5.3625 alpha=105.12 beta=97.70 gamma=97.70
Atoms (fractional coordinates):
O 0.7866 0.9215 0.6067
O 0.7199 0.3937 0.3937
O 0.2134 0.3933 0.0785
O 0.5000 0.0000 0.0000
O 0.7866 0.6067 0.9215
O 0.2134 0.0785 0.3933
O 0.2801 0.6063 0.6063
Si 0.5920 0.7763 0.7763
Si 0.4080 0.2237 0.2237
Sc 0.0000 0.6903 0.3097
Sc 0.0000 0.3097 0.6903

---

Record 10
First-principles (r2SCAN) data for a relaxed structure of Sc2SiO5, as listed in the Materials Project.

Energy of formation from the pure elements in kJ/mol of formula units: -2748
Energy in eV per cell: -359.7
Total magnetic moment in μB per cell: 0.0

Unit cell a=6.4354 b=7.5769 c=9.2663 alpha=71.72 beta=69.68 gamma=64.87
Atoms (fractional coordinates):
Sc 0.2992 0.3965 0.5155
Sc 0.4773 0.4377 0.8437
Sc 0.7008 0.6036 0.4845
Sc 0.7890 0.8964 0.0155
Sc 0.2413 0.9378 0.3437
Sc 0.5227 0.5623 0.1563
Sc 0.7587 0.0622 0.6563
Sc 0.2110 0.1036 0.9845
Si 0.9155 0.5548 0.8085
Si 0.0845 0.4452 0.1915
Si 0.2789 0.9451 0.6915
Si 0.7211 0.0549 0.3085
O 0.7145 0.4711 0.9346
O 0.4540 0.7164 0.6865
O 0.4183 0.8646 0.1063
O 0.5768 0.9052 0.3511
O 0.5817 0.1354 0.8937
O 0.1084 0.9689 0.8662
O 0.3891 0.6355 0.3938
O 0.4232 0.0948 0.6489
O 0.2855 0.5289 0.0654
O 0.9435 0.5310 0.6338
O 0.8798 0.9711 0.4346
O 0.8916 0.0311 0.1338
O 0.8330 0.5948 0.1489
O 0.6109 0.3645 0.6062
O 0.0565 0.4690 0.3662
O 0.1670 0.4052 0.8511
O 0.1202 0.0289 0.5654
O 0.8570 0.7836 0.8135
O 0.1430 0.2164 0.1865
O 0.5460 0.2836 0.3135

---

Record 11
First-principles (r2SCAN) data for a relaxed structure of SmScO3, as listed in the Materials Project.

Energy of formation from the pure elements in kJ/mol of formula units: -1850
Energy in eV per cell: -312.9
Total magnetic moment in μB per cell: 0.0

Unit cell a=5.5263 b=5.7843 c=7.9760 alpha=90.00 beta=90.00 gamma=90.00
Atoms (fractional coordinates):
Sm 0.4826 0.4404 0.2500
Sm 0.5174 0.5596 0.7500
Sm 0.9826 0.0596 0.7500
Sm 0.0174 0.9404 0.2500
O 0.6948 0.3030 0.9382
O 0.6179 0.0472 0.2500
O 0.3052 0.6970 0.0618
O 0.8052 0.8030 0.5618
O 0.8052 0.8030 0.9382
O 0.1948 0.1970 0.4382
O 0.8821 0.5472 0.2500
O 0.1179 0.4528 0.7500
O 0.6948 0.3030 0.5618
O 0.3052 0.6970 0.4382
O 0.3821 0.9528 0.7500
O 0.1948 0.1970 0.0618
Sc 0.5000 0.0000 0.0000
Sc 0.5000 0.0000 0.5000
Sc 0.0000 0.5000 0.0000
Sc 0.0000 0.5000 0.5000

---

Record 12
First-principles (r2SCAN) data for a relaxed structure of TbScO3, as listed in the Materials Project.

Energy of formation from the pure elements in kJ/mol of formula units: -1871
Energy in eV per cell: -319.8
Total magnetic moment in μB per cell: 0.0

Unit cell a=5.4396 b=5.7303 c=7.9321 alpha=90.00 beta=90.00 gamma=90.00
Atoms (fractional coordinates):
O 0.1917 0.1946 0.4327
O 0.3083 0.6946 0.4327
O 0.3715 0.9451 0.7500
O 0.6285 0.0549 0.2500
O 0.3083 0.6946 0.0673
O 0.8083 0.8054 0.9327
O 0.6917 0.3054 0.9327
O 0.1917 0.1946 0.0673
O 0.1285 0.4451 0.7500
O 0.8715 0.5549 0.2500
O 0.6917 0.3054 0.5673
O 0.8083 0.8054 0.5673
Sc 0.0000 0.5000 0.0000
Sc 0.5000 0.0000 0.0000
Sc 0.0000 0.5000 0.5000
Sc 0.5000 0.0000 0.5000
Tb 0.4801 0.4377 0.2500
Tb 0.5199 0.5623 0.7500
Tb 0.0199 0.9377 0.2500
Tb 0.9801 0.0623 0.7500